DFT (r²SCAN) results for crystalline SrVF5 at its relaxed geometry.

Computed properties:
symmetry: P2_1/c, No. 14
energy of formation from the pure elements: -354.7 kJ/mol of atoms

Unit cell a=7.244 b=7.059 c=14.687 alpha=85.28 beta=90.00 gamma=90.00
Positions (direct):
F: 0.687 0.971 0.206
F: 0.365 0.402 0.852
F: 0.489 0.003 0.607
F: 0.947 0.696 0.230
F: 0.553 0.696 0.730
F: 0.160 0.687 0.744
F: 0.195 0.687 0.568
F: 0.175 0.043 0.465
F: 0.921 0.652 0.041
F: 0.635 0.598 0.148
F: 0.187 0.029 0.294
F: 0.447 0.304 0.270
F: 0.079 0.348 0.959
F: 0.004 0.302 0.594
F: 0.504 0.698 0.906
F: 0.340 0.687 0.244
F: 0.840 0.313 0.256
F: 0.989 0.997 0.893
F: 0.135 0.402 0.352
F: 0.313 0.029 0.794
F: 0.511 0.997 0.393
F: 0.675 0.957 0.035
F: 0.053 0.304 0.770
F: 0.162 0.354 0.151
F: 0.338 0.354 0.651
F: 0.579 0.652 0.541
F: 0.996 0.698 0.406
F: 0.660 0.313 0.756
F: 0.305 0.687 0.068
F: 0.695 0.313 0.932
F: 0.825 0.957 0.535
F: 0.011 0.003 0.107
F: 0.813 0.971 0.706
F: 0.662 0.646 0.349
F: 0.805 0.313 0.432
F: 0.865 0.598 0.648
F: 0.421 0.348 0.459
F: 0.496 0.302 0.094
F: 0.838 0.646 0.849
F: 0.325 0.043 0.965
V: 0.381 0.493 0.163
V: 0.685 0.810 0.626
V: 0.185 0.190 0.874
V: 0.619 0.507 0.837
V: 0.815 0.810 0.126
V: 0.119 0.493 0.663
V: 0.881 0.507 0.337
V: 0.315 0.190 0.374
Sr: 0.340 0.693 0.416
Sr: 0.343 0.998 0.138
Sr: 0.157 0.998 0.638
Sr: 0.160 0.693 0.916
Sr: 0.657 0.002 0.862
Sr: 0.660 0.307 0.584
Sr: 0.843 0.002 0.362
Sr: 0.840 0.307 0.084

***

DFT (r²SCAN) results for crystalline SrZnF4 at its relaxed geometry.

Computed properties:
symmetry: I4_1/a, No. 88
energy of formation from the pure elements: -324.9 kJ/mol of atoms

Unit cell a=5.448 b=5.448 c=6.983 alpha=112.96 beta=112.96 gamma=90.00
Positions (direct):
Sr: 0.375 0.125 0.750
Sr: 0.625 0.875 0.250
Zn: 0.125 0.375 0.250
Zn: 0.875 0.625 0.750
F: 0.294 0.453 0.080
F: 0.374 0.206 0.420
F: 0.215 0.874 0.920
F: 0.047 0.715 0.420
F: 0.785 0.126 0.080
F: 0.953 0.285 0.580
F: 0.626 0.794 0.580
F: 0.706 0.547 0.920

***

DFT (r²SCAN) results for crystalline Sr5Zr3F22 at its relaxed geometry.

Computed properties:
symmetry: P2_12_12, No. 18
energy of formation from the pure elements: -402.1 kJ/mol of atoms

Unit cell a=7.639 b=10.252 c=10.334 alpha=90.00 beta=90.00 gamma=90.00
Positions (direct):
F: 0.783 0.169 0.983
F: 0.512 0.876 0.298
F: 0.434 0.635 0.652
F: 0.763 0.886 0.887
F: 0.012 0.124 0.202
F: 0.066 0.365 0.152
F: 0.412 0.370 0.110
F: 0.214 0.526 0.392
F: 0.088 0.630 0.610
F: 0.237 0.886 0.113
F: 0.286 0.474 0.892
F: 0.760 0.926 0.154
F: 0.910 0.293 0.611
F: 0.263 0.114 0.613
F: 0.717 0.831 0.483
F: 0.410 0.707 0.889
F: 0.028 0.876 0.658
F: 0.566 0.635 0.348
F: 0.912 0.630 0.390
F: 0.240 0.926 0.846
F: 0.090 0.293 0.389
F: 0.437 0.293 0.342
F: 0.786 0.526 0.608
F: 0.937 0.707 0.158
F: 0.283 0.831 0.517
F: 0.472 0.124 0.158
F: 0.714 0.474 0.108
F: 0.934 0.365 0.848
F: 0.213 0.400 0.608
F: 0.287 0.600 0.108
F: 0.217 0.169 0.017
F: 0.988 0.124 0.798
F: 0.972 0.876 0.342
F: 0.787 0.400 0.392
F: 0.063 0.707 0.842
F: 0.488 0.876 0.702
F: 0.588 0.370 0.890
F: 0.590 0.707 0.111
F: 0.740 0.074 0.654
F: 0.737 0.114 0.387
F: 0.260 0.074 0.346
F: 0.713 0.600 0.892
F: 0.528 0.124 0.842
F: 0.563 0.293 0.658
Zr: 0.747 0.775 0.288
Zr: 0.000 0.461 0.500
Zr: 0.753 0.225 0.788
Zr: 0.500 0.539 0.000
Zr: 0.247 0.225 0.212
Zr: 0.253 0.775 0.712
Sr: 0.236 0.746 0.295
Sr: 0.000 0.979 0.000
Sr: 0.264 0.254 0.795
Sr: 0.000 0.062 0.500
Sr: 0.764 0.746 0.705
Sr: 0.736 0.254 0.205
Sr: 0.500 0.938 0.000
Sr: 0.000 0.539 0.000
Sr: 0.500 0.461 0.500
Sr: 0.500 0.021 0.500

***

DFT (r²SCAN) results for crystalline TaF5 at its relaxed geometry.

Computed properties:
symmetry: C2/m, No. 12
energy of formation from the pure elements: -328.5 kJ/mol of atoms

Unit cell a=4.926 b=8.576 c=8.576 alpha=112.99 beta=94.70 gamma=94.70
Positions (direct):
F: 0.842 0.299 0.926
F: 0.613 0.347 0.347
F: 0.078 0.872 0.872
F: 0.842 0.926 0.299
F: 0.620 0.973 0.782
F: 0.922 0.128 0.128
F: 0.145 0.273 0.468
F: 0.375 0.411 0.831
F: 0.625 0.589 0.169
F: 0.158 0.701 0.074
F: 0.855 0.727 0.532
F: 0.158 0.074 0.701
F: 0.380 0.218 0.027
F: 0.620 0.782 0.973
F: 0.375 0.831 0.411
F: 0.145 0.468 0.273
F: 0.380 0.027 0.218
F: 0.387 0.653 0.653
F: 0.855 0.532 0.727
F: 0.625 0.169 0.589
Ta: 0.500 0.796 0.204
Ta: 0.243 0.261 0.261
Ta: 0.500 0.204 0.796
Ta: 0.757 0.739 0.739

***

DFT (r²SCAN) results for crystalline TbF4 at its relaxed geometry.

Computed properties:
symmetry: C2/c, No. 15
energy of formation from the pure elements: -332.2 kJ/mol of atoms

Unit cell a=8.205 b=8.205 c=7.947 alpha=67.43 beta=67.43 gamma=86.20
Positions (direct):
F: 0.500 0.000 0.500
F: 0.342 0.249 0.636
F: 0.220 0.596 0.553
F: 0.304 0.966 0.368
F: 0.421 0.579 0.750
F: 0.000 0.500 0.000
F: 0.210 0.500 0.367
F: 0.249 0.342 0.136
F: 0.500 0.790 0.133
F: 0.780 0.404 0.447
F: 0.596 0.220 0.053
F: 0.940 0.831 0.443
F: 0.169 0.060 0.057
F: 0.790 0.500 0.633
F: 0.579 0.421 0.250
F: 0.831 0.940 0.943
F: 0.060 0.169 0.557
F: 0.034 0.696 0.132
F: 0.404 0.780 0.947
F: 0.696 0.034 0.632
F: 0.751 0.658 0.864
F: 0.966 0.304 0.868
F: 0.500 0.210 0.867
F: 0.658 0.751 0.364
Tb: 0.766 0.652 0.134
Tb: 0.234 0.348 0.866
Tb: 0.348 0.234 0.366
Tb: 0.802 0.198 0.750
Tb: 0.652 0.766 0.634
Tb: 0.198 0.802 0.250

***

DFT (r²SCAN) results for crystalline TbF3 at its relaxed geometry.

Computed properties:
symmetry: Pnma, No. 62
energy of formation from the pure elements: -434.4 kJ/mol of atoms

Unit cell a=4.342 b=6.443 c=6.869 alpha=90.00 beta=90.00 gamma=90.00
Positions (direct):
F: 0.115 0.666 0.437
F: 0.885 0.334 0.937
F: 0.082 0.979 0.750
F: 0.385 0.166 0.437
F: 0.418 0.479 0.750
F: 0.885 0.334 0.563
F: 0.615 0.834 0.937
F: 0.582 0.521 0.250
F: 0.615 0.834 0.563
F: 0.385 0.166 0.063
F: 0.115 0.666 0.063
F: 0.918 0.021 0.250
Tb: 0.566 0.130 0.750
Tb: 0.934 0.630 0.750
Tb: 0.066 0.370 0.250
Tb: 0.434 0.870 0.250